Entry from the Materials Project: an optimized crystal structure of OsO4 (PBE).

Cell and atoms, written as extended XYZ:
```
5
Lattice="0.722 -3.925 -3.404 4.230 -3.092 -0.246 -0.563 -4.542 1.824" Properties=species:S:1:pos:R:3 pbc="T T T"
Os 3.947 -5.363 0.665
O 0.574 -4.799 -1.492
O 2.475 -6.191 1.007
O 1.769 -7.245 -2.175
O 3.961 -4.881 -0.989
```

Properties
The formation enthalpy at 0 K is -1.528 eV per atom. The largest piezoelectric modulus comes out at 0.1 C/m².